Arrangement 1

First-principles (GGA+U) data for an optimized crystal structure of LiVSiO4, as listed in Materials Project.

Geometry as extended XYZ:
```
28
Lattice="5.8965 0.0000 0.0000 1.2354 6.4437 0.0000 0.6137 2.2689 9.2279" Properties=species:S:1:pos:R:3 pbc="T T T"
Li 0.8690 2.5543 1.5892
Li 1.6918 5.9750 2.2363
Li 6.0538 2.7376 6.9915
Li 6.8767 6.1583 7.6387
V 2.9826 5.4463 5.2976
V 4.5166 7.7892 7.3090
V 3.2291 0.9234 1.9189
V 4.7631 3.2663 3.9303
Si 1.8001 2.2573 4.6030
Si 2.9663 3.8622 8.1395
Si 4.7793 4.8504 1.0884
Si 5.9455 6.4553 4.6249
O 1.4573 5.7418 4.1683
O 1.8415 2.6849 7.8750
O 1.7146 1.7862 3.0559
O 2.6666 5.2180 7.2281
O 3.3610 7.4642 5.6580
O 2.4031 2.0353 0.4883
O 3.0136 3.3997 4.7908
O 3.4493 5.6971 1.6062
O 4.2964 3.0155 7.6217
O 4.7321 5.3129 4.4370
O 5.3425 6.6773 8.7396
O 4.3847 1.2484 3.5699
O 5.0791 3.4946 1.9997
O 6.0310 6.9264 6.1720
O 5.9042 6.0277 1.3529
O 6.2883 2.9708 5.0596
```

Values from the calculation:
SG = No. 2

---

Arrangement 2

First-principles (GGA+U) data for an optimized crystal structure of LiVSiO4, as listed in Materials Project.

Geometry as extended XYZ:
```
28
Lattice="8.6566 0.0000 0.0000 0.0000 5.2348 0.0000 -2.6511 0.0000 8.1693" Properties=species:S:1:pos:R:3 pbc="T T T"
Li 0.0000 0.8982 0.0000
Li -1.3255 4.3366 4.0846
Li 3.2733 1.6746 2.8004
Li 1.9478 3.5602 6.8850
V 0.0572 0.9213 6.2092
V 1.3827 4.3135 2.1246
V 6.0348 1.7024 0.8452
V 4.7092 3.5324 4.9298
Si 0.0073 1.6659 3.0534
Si -1.3183 3.5690 7.1381
Si 3.3508 0.9638 6.0029
Si 4.6763 4.2710 1.9183
O -0.6000 0.9490 4.4032
O 0.7255 4.2858 0.3186
O -1.1092 1.9518 7.3671
O 0.2163 3.2830 3.2825
O 1.4546 0.9417 2.6908
O 0.1290 4.2931 6.7755
O 1.8631 1.5737 6.3875
O 3.1887 3.6611 2.3028
O 4.5946 0.6479 1.6037
O 3.2690 4.5869 5.6883
O 3.9773 1.7582 4.7037
O 5.3028 3.4766 0.6191
O 4.2710 1.2767 7.3307
O 5.5965 3.9581 3.2461
O 7.6936 1.3691 1.7680
O 6.3681 3.8657 5.8526
```

Values from the calculation:
SG = No. 7

---

Pick arrangement 2: it beats the second-best structure by 33 meV/atom.

---

Arrangement 1

First-principles (GGA+U) data for an optimized crystal structure of Mn3OF5, as listed in Materials Project.

Geometry as extended XYZ:
```
18
Lattice="9.8477 0.0000 0.0000 0.0000 4.8493 0.0000 0.0000 0.0000 4.8663" Properties=species:S:1:pos:R:3 pbc="T T T"
Mn 0.0000 1.0812 0.0000
Mn 1.5598 3.6577 2.2534
Mn 3.3641 1.1916 4.6866
Mn 4.9239 3.7681 2.4332
Mn 6.4836 1.1916 4.6866
Mn 8.2880 3.6577 2.2534
O 0.0000 4.5117 1.3817
O 4.9239 0.3376 3.8149
F 0.0000 2.5620 3.3536
F 1.6508 0.2189 3.8086
F 1.7373 2.1111 0.8218
F 3.1865 2.7382 3.2549
F 3.2731 4.6304 1.3754
F 4.9239 2.2873 0.9204
F 6.5747 4.6304 1.3754
F 6.6612 2.7382 3.2549
F 8.1104 2.1111 0.8218
F 8.1969 0.2189 3.8086
```

Values from the calculation:
SG = No. 31

---

Arrangement 2

First-principles (GGA+U) data for an optimized crystal structure of Mn3OF5, as listed in Materials Project.

Geometry as extended XYZ:
```
18
Lattice="4.9510 0.0000 0.0000 0.0000 3.2219 0.0000 -0.6439 0.0000 14.7914" Properties=species:S:1:pos:R:3 pbc="T T T"
Mn 0.0000 0.0000 0.0000
Mn -0.3547 0.0000 9.9430
Mn 1.8260 1.6110 12.2067
Mn 2.1535 1.6110 7.3957
Mn 2.4811 1.6110 2.5847
Mn 4.6617 0.0000 4.8484
O 1.0061 0.0000 11.3379
O 3.3010 0.0000 3.4535
F 0.7585 1.6110 3.9681
F 0.5828 1.6110 8.8619
F 0.3889 1.6110 13.8730
F 1.1719 0.0000 6.3738
F 1.5103 0.0000 1.5840
F 2.7968 0.0000 13.2074
F 3.1352 0.0000 8.4176
F 3.9182 1.6110 0.9183
F 3.7242 1.6110 5.9295
F 3.5486 1.6110 10.8233
```

Values from the calculation:
SG = No. 10

---

Pick arrangement 2: it beats the second-best structure by 14 meV/atom.

---

Arrangement 1

First-principles (GGA+U) data for an optimized crystal structure of Ti11Fe13O36, as listed in Materials Project.

Geometry as extended XYZ:
```
60
Lattice="5.1793 0.0000 0.0000 -2.5849 4.9134 0.0000 -0.0355 -1.7029 25.7043" Properties=species:S:1:pos:R:3 pbc="T T T"
Ti 0.0000 0.0000 0.0000
Ti -0.0248 -0.8378 12.8821
Ti 0.0104 1.8979 11.9476
Ti -0.0011 1.5181 18.3926
Ti -0.0195 1.8573 21.4244
Ti -0.0377 2.8314 8.5584
Ti 2.5834 0.9914 1.2344
Ti 2.5491 0.6157 7.6463
Ti 2.5844 0.5160 17.1272
Ti 2.6141 1.4341 4.2174
Ti 2.5701 2.8769 22.6679
Fe -2.5990 3.6242 19.2904
Fe -0.0283 2.3426 5.5241
Fe -0.0319 1.1086 24.8009
Fe -0.0229 2.2517 15.0068
Fe 0.0294 3.1156 2.1895
Fe 2.5640 -0.2439 20.5092
Fe 2.5947 0.1715 14.1378
Fe 2.5810 0.8864 10.7188
Fe 2.5603 0.0616 23.5616
Fe 2.6004 3.7014 9.8222
Fe 2.5799 3.3200 16.2757
Fe 2.5961 4.1899 3.3826
Fe 2.5716 4.4495 6.4119
O -1.7419 3.1316 5.0736
O -0.8866 1.4282 7.4334
O -1.6993 2.2421 18.0019
O -0.7046 0.6031 20.1956
O -1.0229 1.4932 22.9908
O -0.8634 2.3059 10.2936
O -1.6074 3.2356 21.1193
O -1.4846 4.1333 8.1160
O 0.6664 -0.7927 23.9070
O 0.6800 0.1904 11.1563
O -0.8794 3.2486 13.1000
O -0.8844 4.1954 0.4322
O 0.8066 0.8757 13.6337
O 0.9068 1.7491 0.8257
O 1.8729 -0.7207 15.8776
O 1.9271 0.1122 3.0599
O 1.5774 0.1427 18.6952
O 1.6948 1.0220 6.0125
O 1.0486 2.6824 3.9479
O 0.9971 1.8935 16.8379
O 0.6753 2.7614 19.6326
O 0.6785 3.6534 6.8662
O 1.7345 1.8854 8.8286
O 1.6683 1.1408 21.8423
O 3.3075 -0.4525 9.3181
O 1.6887 2.7814 11.6896
O 3.4632 -1.3069 22.2513
O 1.8756 1.9635 24.4716
O 1.5812 3.6870 14.3972
O 1.6203 4.5407 1.5645
O 3.5603 -0.3324 25.3994
O 3.6715 0.5841 12.4808
O 3.3145 2.2269 2.4876
O 3.3054 1.4731 15.3971
O 4.2617 -0.2237 17.5621
O 4.2837 0.6321 4.7360
```

Values from the calculation:
SG = No. 1

---

Arrangement 2

First-principles (GGA+U) data for an optimized crystal structure of Ti11Fe13O36, as listed in Materials Project.

Geometry as extended XYZ:
```
60
Lattice="5.5952 0.0000 0.0000 0.1400 10.3281 0.0000 1.6275 2.4743 11.3297" Properties=species:S:1:pos:R:3 pbc="T T T"
Ti 0.0000 0.0000 0.0000
Ti 7.2895 7.6413 11.3242
Ti 0.3005 2.5694 1.5393
Ti 0.4240 7.7275 1.5629
Ti 2.3896 2.5945 3.7277
Ti 2.7692 10.3204 5.2741
Ti 2.7497 5.0630 5.3719
Ti 4.9075 10.2918 7.6112
Ti 5.1761 7.6996 9.1497
Ti 5.1473 2.5606 9.1059
Ti 5.5741 7.6915 5.3560
Fe 2.0828 7.6862 7.5160
Fe 2.0230 2.4854 7.5174
Fe 2.3099 5.0875 9.1039
Fe 2.4210 10.2453 9.1465
Fe 2.4962 7.7335 3.7701
Fe 4.4422 5.0768 11.2850
Fe 4.5342 10.2655 11.3204
Fe 3.1318 5.1901 1.5843
Fe 3.2276 10.3088 1.5977
Fe 4.7982 5.0909 7.5502
Fe 5.3141 10.3020 3.7671
Fe 5.4607 2.5712 5.3657
Fe 5.2756 5.1697 3.7383
O 1.4991 6.9748 9.5636
O 1.6340 12.1035 9.5787
O 1.3237 11.2966 4.6235
O 1.3500 6.1936 4.6637
O 2.3985 4.1717 11.0363
O 2.4753 9.3219 11.0276
O 1.9160 8.6358 5.6075
O 1.9123 3.4462 5.6399
O 1.4746 4.1601 0.6908
O 1.5525 9.3296 0.7252
O 2.8529 5.8343 7.0824
O 2.9918 10.9547 7.0569
O 2.2766 1.8920 1.9900
O 2.3418 7.0279 1.9635
O 3.7429 8.6968 8.4167
O 3.7015 3.4928 8.3839
O 3.1813 4.2738 3.4895
O 3.3316 9.5081 3.4966
O 4.3684 6.0131 9.3871
O 4.4915 11.1399 9.3859
O 3.7643 1.5545 4.5212
O 4.0733 6.8239 4.6072
O 5.2408 3.1721 10.8874
O 5.3060 8.3781 10.8624
O 4.6579 4.4210 5.6869
O 4.8046 9.3911 5.8099
O 4.4856 3.6292 0.8517
O 4.6002 8.7534 0.8493
O 5.6082 6.9064 7.0595
O 5.5874 1.5799 7.2272
O 5.1115 0.8986 1.8462
O 5.1958 6.0480 1.8733
O 6.3293 9.2379 8.2716
O 6.3081 4.0397 8.2964
O 6.0880 8.3671 3.3603
O 6.0687 3.2386 3.3043
```

Values from the calculation:
SG = No. 1

---

Pick arrangement 2: it beats the second-best structure by 279 meV/atom.

---

Arrangement 1

First-principles (GGA+U) data for an optimized crystal structure of Mg6CrCuO8, as listed in Materials Project.

Geometry as extended XYZ:
```
16
Lattice="4.2629 0.0000 0.0000 0.0000 4.2629 0.0000 0.0000 0.0000 8.5859" Properties=species:S:1:pos:R:3 pbc="T T T"
Mg 0.0000 0.0000 0.0000
Mg 0.0000 2.1314 2.1533
Mg 0.0000 2.1314 6.4326
Mg 2.1314 0.0000 2.1533
Mg 2.1314 0.0000 6.4326
Mg 2.1314 2.1314 0.0000
Cr 0.0000 0.0000 4.2929
Cu 2.1314 2.1314 4.2929
O 0.0000 0.0000 2.1995
O 0.0000 0.0000 6.3864
O 0.0000 2.1314 0.0000
O 0.0000 2.1314 4.2929
O 2.1314 0.0000 0.0000
O 2.1314 0.0000 4.2929
O 2.1314 2.1314 2.0505
O 2.1314 2.1314 6.5354
```

Values from the calculation:
SG = No. 123

---

Arrangement 2

First-principles (GGA+U) data for an optimized crystal structure of Mg6CrCuO8, as listed in Materials Project.

Geometry as extended XYZ:
```
16
Lattice="4.2335 0.0000 0.0000 0.0000 4.2335 0.0000 0.0000 0.0000 8.7397" Properties=species:S:1:pos:R:3 pbc="T T T"
Mg 0.0000 0.0000 0.0000
Mg 0.0000 0.0000 4.3699
Mg 0.0000 2.1168 2.1312
Mg 0.0000 2.1168 6.6085
Mg 2.1168 0.0000 2.1312
Mg 2.1168 0.0000 6.6085
Cr 2.1168 2.1168 4.3699
Cu 2.1168 2.1168 0.0000
O 0.0000 0.0000 2.1848
O 0.0000 0.0000 6.5549
O 0.0000 2.1168 0.0000
O 0.0000 2.1168 4.3699
O 2.1168 0.0000 0.0000
O 2.1168 0.0000 4.3699
O 2.1168 2.1168 2.3553
O 2.1168 2.1168 6.3844
```

Values from the calculation:
SG = No. 123

---

Pick arrangement 2: it beats the second-best structure by 16 meV/atom.